[1]
NaPmAu2 | r²SCAN | optimized geometry

Lattice parameters (Å, degrees): 7.1151 7.1151 7.1151 90.00 90.00 90.00
Last column: nearest neighbours and their distance in Å.
Space group Fm-3m (No. 225)
Unique sites:
Na 0.0000 0.0000 0.0000  8 Au 3.08
Pm 0.0000 0.0000 0.5000  8 Au 3.08
Au 0.2500 0.2500 0.2500  4 Na 3.08, 4 Pm 3.08

***

[2]
Nd2CdNi2 | r²SCAN | optimized geometry

Lattice parameters (Å, degrees): 7.4870 7.4870 3.8025 90.00 90.00 90.00
Last column: nearest neighbours and their distance in Å.
Space group P4/mbm (No. 127)
Unique sites:
Nd 0.1782 0.3218 0.0000  6 Ni 2.90-2.94
Cd 0.0000 0.0000 0.5000  4 Ni 3.01, 8 Nd 3.35
Ni 0.1146 0.6146 0.5000  1 Ni 2.43

***

[3]
TmBPt2 | r²SCAN | optimized geometry

Lattice parameters (Å, degrees): 5.2709 5.2709 7.9310 90.00 90.00 120.00
Last column: nearest neighbours and their distance in Å.
Space group P6_222 (No. 180)
Unique sites:
Tm 0.0000 0.5000 0.1667  4 B 2.95, 10 Pt 2.98-3.18
B 0.0000 0.5000 0.6667  4 Pt 2.07
Pt 0.1521 0.3042 0.5000  2 B 2.07

***

| no. | magnetization (Bohr magnetons per cell) | E_form (kJ per mole of atoms) |
| --- | --- | --- |
| 1 | 0.00 | -64.11 |
| 2 | 0.00 | -31.89 |
| 3 | 0.00 | -108.50 |